i | Compound: Li3Mn4B4O12
Source: the Materials Project database
Functional: GGA+U
Structure: optimized geometry

a = 5.218 Å, b = 5.892 Å, c = 9.169 Å
α = 103.75°, β = 89.88°, γ = 112.41°
Positions (direct):
Li (0.753, 0.680, 0.686)
Li (0.253, 0.348, 0.311)
Li (0.743, 0.315, 0.805)
Mn (0.786, 0.764, 0.373)
Mn (0.280, 0.755, 0.890)
Mn (0.732, 0.251, 0.117)
Mn (0.219, 0.243, 0.622)
B (0.767, 0.735, 0.035)
B (0.276, 0.743, 0.548)
B (0.731, 0.261, 0.455)
B (0.224, 0.256, 0.964)
O (0.601, 0.878, 0.071)
O (0.058, 0.830, 0.570)
O (0.378, 0.711, 0.411)
O (0.816, 0.621, 0.143)
O (0.376, 0.679, 0.668)
O (0.120, 0.267, 0.102)
O (0.857, 0.695, 0.894)
O (0.624, 0.323, 0.338)
O (0.121, 0.327, 0.850)
O (0.640, 0.298, 0.598)
O (0.948, 0.176, 0.429)
O (0.445, 0.175, 0.937)

Summary:
The crystal system is triclinic. The volume comes out at 252 Å³/cell. The value obtained for the total magnetic moment is 0.826 μB/atom. Its space group is P1 (1).

ii | Compound: Li3Mn4B4O12
Source: the Materials Project database
Functional: GGA+U
Structure: optimized geometry

a = 7.905 Å, b = 8.293 Å, c = 9.193 Å
α = 66.60°, β = 65.77°, γ = 80.33°
Positions (direct):
Li (0.866, 0.951, 0.152)
Li (0.134, 0.049, 0.848)
Li (0.361, 0.793, 0.364)
Li (0.639, 0.207, 0.636)
Li (0.360, 0.452, 0.154)
Li (0.640, 0.548, 0.846)
Mn (0.828, 0.922, 0.498)
Mn (0.927, 0.324, 0.017)
Mn (0.424, 0.830, 0.995)
Mn (0.172, 0.078, 0.502)
Mn (0.316, 0.423, 0.509)
Mn (0.073, 0.676, 0.983)
Mn (0.576, 0.170, 0.005)
Mn (0.684, 0.577, 0.491)
B (0.831, 0.941, 0.827)
B (0.920, 0.321, 0.677)
B (0.426, 0.826, 0.659)
B (0.169, 0.059, 0.173)
B (0.335, 0.423, 0.836)
B (0.080, 0.679, 0.323)
B (0.574, 0.174, 0.341)
B (0.665, 0.577, 0.164)
O (0.902, 0.900, 0.953)
O (0.821, 0.349, 0.831)
O (0.935, 0.923, 0.671)
O (0.906, 0.764, 0.345)
O (0.847, 0.362, 0.556)
O (0.094, 0.236, 0.655)
O (0.845, 0.510, 0.131)
O (0.311, 0.849, 0.816)
O (0.065, 0.077, 0.329)
O (0.155, 0.490, 0.869)
O (0.367, 0.875, 0.529)
O (0.098, 0.100, 0.047)
O (0.414, 0.394, 0.954)
O (0.153, 0.638, 0.444)
O (0.348, 0.987, 0.148)
O (0.437, 0.393, 0.683)
O (0.179, 0.651, 0.169)
O (0.652, 0.013, 0.852)
O (0.399, 0.257, 0.352)
O (0.633, 0.125, 0.471)
O (0.601, 0.743, 0.648)
O (0.563, 0.607, 0.317)
O (0.689, 0.151, 0.184)
O (0.586, 0.606, 0.046)

Summary:
The crystal system is triclinic. The volume comes out at 504 Å³/cell. The value obtained for the total magnetic moment is 0.826 μB/atom. Its space group is P-1 (2).

It turns out i is the most stable, with the second structure 0.006 eV/atom higher.

i | Compound: NaFe2O4
Source: the Materials Project database
Functional: GGA+U
Structure: optimized geometry

a = 5.114 Å, b = 5.900 Å, c = 11.501 Å
α = 90.13°, β = 90.05°, γ = 90.08°
Positions (direct):
Na (0.967, 0.751, 0.750)
Na (0.643, 0.751, 0.251)
Na (0.357, 0.248, 0.750)
Na (0.028, 0.250, 0.250)
Fe (0.998, 0.253, 0.996)
Fe (0.003, 0.751, 0.007)
Fe (0.998, 0.250, 0.507)
Fe (0.002, 0.750, 0.493)
Fe (0.500, 0.498, 0.000)
Fe (0.501, 0.999, 0.999)
Fe (0.500, 0.000, 0.500)
Fe (0.500, 0.500, 0.500)
O (0.821, 0.003, 0.408)
O (0.844, 0.016, 0.092)
O (0.837, 0.499, 0.405)
O (0.827, 0.489, 0.090)
O (0.665, 0.261, 0.911)
O (0.656, 0.235, 0.591)
O (0.668, 0.740, 0.912)
O (0.668, 0.762, 0.588)
O (0.331, 0.239, 0.413)
O (0.320, 0.258, 0.085)
O (0.344, 0.766, 0.409)
O (0.350, 0.736, 0.090)
O (0.179, 0.996, 0.592)
O (0.163, 0.502, 0.595)
O (0.157, 0.009, 0.907)
O (0.173, 0.489, 0.910)

Summary:
The crystal system is triclinic. The volume comes out at 347 Å³/cell. The value obtained for the total magnetic moment is 1.286 μB/atom. Its space group is P1 (1).

ii | Compound: NaFe2O4
Source: the Materials Project database
Functional: GGA+U
Structure: optimized geometry

a = 4.877 Å, b = 5.634 Å, c = 11.444 Å
α = 90.01°, β = 89.99°, γ = 90.00°
Positions (direct):
Na (0.031, 0.750, 0.250)
Na (0.359, 0.750, 0.750)
Na (0.641, 0.250, 0.250)
Na (0.970, 0.250, 0.750)
Fe (0.004, 0.250, 0.004)
Fe (0.996, 0.750, 0.996)
Fe (0.004, 0.250, 0.496)
Fe (0.996, 0.750, 0.504)
Fe (0.500, 0.499, 0.000)
Fe (0.500, 0.000, 0.000)
Fe (0.500, 0.000, 0.500)
Fe (0.500, 0.500, 0.500)
O (0.166, 0.001, 0.590)
O (0.166, 0.001, 0.909)
O (0.166, 0.499, 0.590)
O (0.166, 0.500, 0.909)
O (0.338, 0.250, 0.091)
O (0.338, 0.250, 0.409)
O (0.328, 0.750, 0.086)
O (0.329, 0.750, 0.414)
O (0.672, 0.250, 0.587)
O (0.672, 0.250, 0.914)
O (0.662, 0.750, 0.590)
O (0.662, 0.750, 0.910)
O (0.834, 0.999, 0.410)
O (0.834, 0.501, 0.410)
O (0.834, 0.998, 0.091)
O (0.834, 0.502, 0.091)

Summary:
The crystal system is orthorhombic. The volume comes out at 314 Å³/cell. The value obtained for the total magnetic moment is 1.286 μB/atom. Its space group is Pmm2 (25).

It turns out i is the most stable, with the second structure 0.109 eV/atom higher.

i | Compound: NaFe2O4
Source: the Materials Project database
Functional: GGA+U
Structure: optimized geometry

a = 5.946 Å, b = 5.946 Å, c = 5.946 Å
α = 60.00°, β = 60.00°, γ = 60.00°
Positions (direct):
Na (0.375, 0.375, 0.375)
Na (0.625, 0.625, 0.625)
Fe (0.000, 0.000, 0.500)
Fe (0.500, 0.000, 0.000)
Fe (0.000, 0.500, 0.000)
Fe (0.000, 0.000, 0.000)
O (0.228, 0.228, 0.228)
O (0.228, 0.815, 0.228)
O (0.815, 0.228, 0.228)
O (0.228, 0.228, 0.815)
O (0.772, 0.772, 0.185)
O (0.185, 0.772, 0.772)
O (0.772, 0.772, 0.772)
O (0.772, 0.185, 0.772)

Summary:
The crystal system is cubic. The volume comes out at 149 Å³/cell. The value obtained for the total magnetic moment is 1.286 μB/atom. Its space group is Fd-3m (227).

ii | Compound: NaFe2O4
Source: the Materials Project database
Functional: GGA+U
Structure: optimized geometry

a = 3.038 Å, b = 5.127 Å, c = 5.861 Å
α = 106.16°, β = 90.85°, γ = 91.48°
Positions (direct):
Na (0.000, 0.500, 0.500)
Fe (0.500, 0.500, 0.000)
Fe (0.000, 0.000, 0.000)
O (0.033, 0.281, 0.815)
O (0.491, 0.758, 0.815)
O (0.967, 0.719, 0.185)
O (0.509, 0.242, 0.185)

Summary:
The crystal system is triclinic. The volume comes out at 88 Å³/cell. The value obtained for the total magnetic moment is 1.286 μB/atom. Its space group is P-1 (2).

It turns out ii is the most stable, with the second structure 0.152 eV/atom higher.

i | Compound: MnP4O11
Source: the Materials Project database
Functional: GGA+U
Structure: optimized geometry

a = 22.736 Å, b = 5.581 Å, c = 7.637 Å
α = 70.19°, β = 90.00°, γ = 90.00°
Positions (direct):
Mn (0.613, 0.004, 0.628)
Mn (0.113, 0.996, 0.872)
Mn (0.387, 0.996, 0.372)
Mn (0.887, 0.004, 0.128)
P (0.534, 0.408, 0.792)
P (0.034, 0.592, 0.708)
P (0.466, 0.592, 0.208)
P (0.966, 0.408, 0.292)
P (0.428, 0.685, 0.819)
P (0.928, 0.315, 0.681)
P (0.572, 0.315, 0.181)
P (0.072, 0.685, 0.319)
P (0.321, 0.333, 0.945)
P (0.821, 0.667, 0.555)
P (0.679, 0.667, 0.055)
P (0.179, 0.333, 0.445)
P (0.196, 0.403, 0.036)
P (0.696, 0.597, 0.464)
P (0.804, 0.597, 0.964)
P (0.304, 0.403, 0.536)
O (0.543, 0.229, 0.689)
O (0.043, 0.771, 0.811)
O (0.457, 0.771, 0.311)
O (0.957, 0.229, 0.189)
O (0.563, 0.661, 0.747)
O (0.063, 0.339, 0.753)
O (0.437, 0.339, 0.253)
O (0.937, 0.661, 0.247)
O (0.454, 0.757, 0.986)
O (0.954, 0.243, 0.514)
O (0.546, 0.243, 0.014)
O (0.046, 0.757, 0.486)
O (0.462, 0.444, 0.805)
O (0.962, 0.556, 0.695)
O (0.538, 0.556, 0.195)
O (0.038, 0.444, 0.305)
O (0.425, 0.911, 0.650)
O (0.925, 0.089, 0.850)
O (0.575, 0.089, 0.350)
O (0.075, 0.911, 0.150)
O (0.364, 0.572, 0.886)
O (0.864, 0.428, 0.614)
O (0.636, 0.428, 0.114)
O (0.136, 0.572, 0.386)
O (0.344, 0.104, 0.091)
O (0.844, 0.896, 0.409)
O (0.656, 0.896, 0.909)
O (0.156, 0.104, 0.591)
O (0.267, 0.468, 0.002)
O (0.767, 0.532, 0.498)
O (0.733, 0.532, 0.998)
O (0.233, 0.468, 0.502)
O (0.305, 0.273, 0.764)
O (0.805, 0.727, 0.736)
O (0.695, 0.727, 0.236)
O (0.195, 0.273, 0.264)
O (0.182, 0.198, 0.959)
O (0.682, 0.802, 0.541)
O (0.818, 0.802, 0.041)
O (0.318, 0.198, 0.459)
O (0.165, 0.650, 0.982)
O (0.665, 0.350, 0.518)
O (0.835, 0.350, 0.018)
O (0.335, 0.650, 0.482)

Summary:
The crystal system is monoclinic. The volume comes out at 912 Å³/cell. The value obtained for the total magnetic moment is 0.313 μB/atom. Its space group is P2_1/c (14).

ii | Compound: MnP4O11
Source: the Materials Project database
Functional: GGA+U
Structure: optimized geometry

a = 9.483 Å, b = 9.512 Å, c = 11.023 Å
α = 108.95°, β = 108.70°, γ = 90.25°
Positions (direct):
Mn (0.746, 0.730, 0.980)
Mn (0.254, 0.270, 0.020)
Mn (0.773, 0.233, 0.504)
Mn (0.227, 0.767, 0.496)
P (0.087, 0.943, 0.753)
P (0.913, 0.057, 0.247)
P (0.767, 0.919, 0.609)
P (0.233, 0.081, 0.391)
P (0.101, 0.729, 0.911)
P (0.899, 0.271, 0.089)
P (0.736, 0.586, 0.438)
P (0.264, 0.414, 0.562)
P (0.560, 0.919, 0.765)
P (0.440, 0.081, 0.235)
P (0.431, 0.750, 0.078)
P (0.569, 0.250, 0.922)
P (0.104, 0.410, 0.764)
P (0.896, 0.590, 0.236)
P (0.413, 0.600, 0.279)
P (0.587, 0.400, 0.721)
O (0.911, 0.961, 0.742)
O (0.089, 0.039, 0.258)
O (0.085, 0.837, 0.619)
O (0.915, 0.163, 0.381)
O (0.176, 0.093, 0.821)
O (0.824, 0.907, 0.179)
O (0.136, 0.864, 0.869)
O (0.864, 0.136, 0.131)
O (0.742, 0.740, 0.555)
O (0.258, 0.260, 0.445)
O (0.769, 0.989, 0.508)
O (0.231, 0.011, 0.492)
O (0.636, 0.965, 0.667)
O (0.364, 0.035, 0.333)
O (0.252, 0.737, 0.033)
O (0.748, 0.263, 0.967)
O (0.094, 0.589, 0.782)
O (0.906, 0.411, 0.218)
O (0.974, 0.736, 0.960)
O (0.026, 0.264, 0.040)
O (0.809, 0.635, 0.347)
O (0.191, 0.365, 0.653)
O (0.565, 0.536, 0.351)
O (0.435, 0.464, 0.649)
O (0.802, 0.471, 0.494)
O (0.198, 0.529, 0.506)
O (0.511, 0.082, 0.832)
O (0.489, 0.918, 0.168)
O (0.419, 0.818, 0.679)
O (0.581, 0.182, 0.321)
O (0.680, 0.882, 0.872)
O (0.320, 0.118, 0.128)
O (0.495, 0.698, 0.968)
O (0.505, 0.302, 0.032)
O (0.476, 0.662, 0.181)
O (0.524, 0.338, 0.819)
O (0.953, 0.323, 0.696)
O (0.047, 0.677, 0.304)
O (0.208, 0.409, 0.897)
O (0.792, 0.591, 0.103)
O (0.383, 0.730, 0.384)
O (0.617, 0.270, 0.616)
O (0.300, 0.467, 0.195)
O (0.700, 0.533, 0.805)

Summary:
The crystal system is triclinic. The volume comes out at 884 Å³/cell. The value obtained for the total magnetic moment is 0.313 μB/atom. Its space group is P-1 (2).

It turns out i is the most stable, with the second structure 0.006 eV/atom higher.